No. 1
First-principles (r2SCAN) data for an optimized crystal structure of Sr2CdPt2, as listed in the Materials Project database.

Unit cell a=5.9276 b=5.9276 c=5.9276 alpha=134.68 beta=119.44 gamma=78.78
Last column: nearest neighbours and their distance in Å.
Fractional positions:
Pt  0.2739  0.5000  0.7739  1 Pt 2.70, 2 Cd 2.81
Pt  0.7261  0.5000  0.2261  1 Pt 2.70, 2 Cd 2.81
Sr  0.2995  0.7995  0.5000  6 Pt 3.20-3.23, 4 Cd 3.51-3.57
Cd  0.0000  0.0000  0.0000  4 Pt 2.81
Sr  0.7005  0.2005  0.5000  6 Pt 3.20-3.23, 4 Cd 3.51-3.57



No. 2
First-principles (r2SCAN) data for an optimized crystal structure of LiCuS, as listed in the Materials Project database.

Unit cell a=6.9901 b=6.9453 c=5.9937 alpha=64.91 beta=64.14 gamma=50.95
Last column: nearest neighbours and their distance in Å.
Fractional positions:
Cu  0.6250  0.1250  0.1250  2 S 2.15
Cu  0.1250  0.1250  0.6250  2 S 2.15
Li  0.3622  0.3622  0.6378  4 S 2.45-2.47
Cu  0.1250  0.1250  0.1250  2 S 2.15
S  0.2732  0.7268  0.2732  2 Cu 2.15
S  0.5232  0.9768  0.5232  2 Cu 2.15
Li  0.6122  0.6122  0.8878  4 S 2.45-2.47
Li  0.6378  0.6378  0.3622  4 S 2.45-2.47
Li  0.8878  0.8878  0.6122  4 S 2.45-2.47
S  0.9768  0.5232  0.9768  2 Cu 2.15
Cu  0.1250  0.6250  0.1250  2 S 2.15
S  0.7268  0.2732  0.7268  2 Cu 2.15



No. 3
First-principles (r2SCAN) data for an optimized crystal structure of Tm2GeO5, as listed in the Materials Project database.

Unit cell a=6.8066 b=6.6531 c=9.1695 alpha=82.04 beta=90.00 gamma=90.00
Last column: nearest neighbours and their distance in Å.
Fractional positions:
O  0.8521  0.9689  0.8927  1 Ge 1.79
O  0.1197  0.4119  0.8953  4 Tm 2.18-2.28
O  0.5682  0.7267  0.2807  1 Ge 1.79
O  0.1479  0.0311  0.1073  1 Ge 1.79
Ge  0.3965  0.5208  0.3004  4 O 1.73-1.79
O  0.3521  0.5311  0.1073  1 Ge 1.79
Tm  0.8806  0.2733  0.0319  5 O 2.18-2.32
O  0.9318  0.2267  0.2807  1 Ge 1.79
O  0.6479  0.4689  0.8927  1 Ge 1.79
O  0.0743  0.1581  0.6362  1 Ge 1.74
O  0.3167  0.0154  0.4036  1 Ge 1.73
Tm  0.1194  0.7267  0.9681  5 O 2.18-2.32
O  0.4318  0.2733  0.7193  1 Ge 1.79
O  0.0682  0.7733  0.7193  1 Ge 1.79
Tm  0.6194  0.7733  0.0319  5 O 2.18-2.32
O  0.8167  0.4846  0.5964  1 Ge 1.73
O  0.9257  0.8419  0.3638  1 Ge 1.74
Tm  0.3806  0.2267  0.9681  5 O 2.18-2.32
Tm  0.8565  0.5258  0.3478  7 O 2.18-2.41
O  0.8803  0.5881  0.1047  4 Tm 2.18-2.28
Tm  0.3565  0.9742  0.6522  7 O 2.18-2.41
O  0.5743  0.3419  0.3638  1 Ge 1.74
Tm  0.1435  0.4742  0.6522  7 O 2.18-2.41
O  0.6197  0.0881  0.1047  4 Tm 2.18-2.28
Ge  0.1035  0.0208  0.3004  4 O 1.73-1.79
O  0.6833  0.9846  0.5964  1 Ge 1.73
Ge  0.8965  0.9792  0.6996  4 O 1.73-1.79
Ge  0.6035  0.4792  0.6996  4 O 1.73-1.79
Tm  0.6435  0.0258  0.3478  7 O 2.18-2.41
O  0.1833  0.5154  0.4036  1 Ge 1.73
O  0.3803  0.9119  0.8953  4 Tm 2.18-2.28
O  0.4257  0.6581  0.6362  1 Ge 1.74

Calculated values
Polymorph energy (0 for the lowest one) = 0.000 eV per atom



No. 4
First-principles (r2SCAN) data for an optimized crystal structure of Gd2AgRu, as listed in the Materials Project database.

Unit cell a=4.9909 b=4.9909 c=4.9909 alpha=60.00 beta=60.00 gamma=60.00
Last column: nearest neighbours and their distance in Å.
Fractional positions:
Ag  0.5000  0.5000  0.5000  8 Gd 3.06
Gd  0.2500  0.2500  0.2500  4 Ag 3.06, 4 Ru 3.06
Gd  0.7500  0.7500  0.7500  4 Ru 3.06, 4 Ag 3.06
Ru  0.0000  0.0000  0.0000  8 Gd 3.06



No. 5
First-principles (r2SCAN) data for an optimized crystal structure of Tb5Ge3, as listed in the Materials Project database.

Unit cell a=8.5108 b=8.5108 c=6.4522 alpha=90.00 beta=90.00 gamma=120.00
Last column: nearest neighbours and their distance in Å.
Fractional positions:
Ge  0.6068  0.0000  0.2500  7 Tb 2.92-3.10
Tb  0.2424  0.0000  0.2500  3 Ge 2.92-3.10
Tb  0.7576  0.0000  0.7500  3 Ge 2.92-3.10
Tb  0.6667  0.3333  0.5000  6 Ge 3.08, 2 Tb 3.23
Ge  0.0000  0.6068  0.2500  7 Tb 2.92-3.10
Ge  0.6068  0.6068  0.7500  7 Tb 2.92-3.10
Ge  0.0000  0.3932  0.7500  7 Tb 2.92-3.10
Ge  0.3932  0.0000  0.7500  7 Tb 2.92-3.10
Tb  0.6667  0.3333  0.0000  6 Ge 3.08, 2 Tb 3.23
Tb  0.2424  0.2424  0.7500  3 Ge 2.92-3.10
Tb  0.3333  0.6667  0.5000  6 Ge 3.08, 2 Tb 3.23
Tb  0.0000  0.2424  0.2500  3 Ge 2.92-3.10
Tb  0.3333  0.6667  0.0000  6 Ge 3.08, 2 Tb 3.23
Tb  0.0000  0.7576  0.7500  3 Ge 2.92-3.10
Ge  0.3932  0.3932  0.2500  7 Tb 2.92-3.10
Tb  0.7576  0.7576  0.2500  3 Ge 2.92-3.10



No. 6
First-principles (r2SCAN) data for an optimized crystal structure of LiAlGe, as listed in the Materials Project database.

Unit cell a=4.2114 b=4.2114 c=4.2114 alpha=60.00 beta=60.00 gamma=60.00
Last column: nearest neighbours and their distance in Å.
Fractional positions:
Al  0.0000  0.0000  0.0000  4 Ge 2.58
Li  0.5000  0.5000  0.5000  4 Ge 2.58
Ge  0.2500  0.2500  0.2500  4 Li 2.58, 4 Al 2.58



The calculation returns the following energy of formation from the pure elements values, one per record and in order: -0.80 -0.85 -3.26 -0.27 -0.92 -0.37 eV/atom.
The calculation returns the following uncorrected energy values, one per record and in order: -31.47 -7.94 -17.51 -33.66 -25.64 -8.04 eV/atom.
The calculation returns the following calculated volume values, one per record and in order: 25.015 16.554 12.851 21.977 25.296 17.606 Å³ per atom.